(1)
Material: BaNiO3
Method: DFT, PBE+U
State: relaxed

Unit cell a=5.719 b=5.719 c=4.826 alpha=90.00 beta=90.00 gamma=120.00
Element x y z (fractional)
1 Ba 0.667 0.333 0.750
2 Ba 0.333 0.667 0.250
3 O 0.854 0.707 0.238
4 O 0.146 0.854 0.738
5 O 0.293 0.146 0.238
6 O 0.707 0.854 0.738
7 O 0.854 0.146 0.238
8 O 0.146 0.293 0.738
9 Ni 0.000 0.000 0.988
10 Ni 0.000 0.000 0.488

Results
Piezoelectric modulus e_max ... 17.83 C/m2
Energy relative to the elements ... -1.820 eV per atom
Density ... 5.9 g/cm³

=====

(2)
Material: Ba2NiOsO6
Method: DFT, PBE+U
State: relaxed

Unit cell a=5.806 b=5.814 c=14.263 alpha=90.09 beta=90.01 gamma=119.95
Element x y z (fractional)
1 O 0.971 0.486 0.245
2 O 0.682 0.842 0.578
3 O 0.840 0.158 0.422
4 O 0.159 0.317 0.578
5 O 0.318 0.158 0.422
6 O 0.828 0.657 0.084
7 O 0.345 0.172 0.084
8 O 0.172 0.828 0.916
9 O 0.160 0.842 0.578
10 O 0.486 0.971 0.755
11 O 0.028 0.514 0.755
12 O 0.827 0.173 0.084
13 O 0.656 0.828 0.916
14 O 0.486 0.514 0.755
15 O 0.842 0.684 0.421
16 O 0.513 0.027 0.245
17 O 0.515 0.486 0.245
18 O 0.173 0.345 0.916
19 Ba 0.667 0.333 0.596
20 Ba 0.333 0.667 0.090
21 Ba 0.667 0.334 0.910
22 Ba 0.000 0.999 0.250
23 Ba 0.000 0.000 0.750
24 Ba 0.334 0.667 0.403
25 Os 0.000 0.000 0.500
26 Os 0.667 0.333 0.159
27 Os 0.333 0.666 0.841
28 Ni 0.000 0.000 0.000
29 Ni 0.333 0.667 0.651
30 Ni 0.666 0.332 0.349

Results
Energy relative to the elements ... -2.200 eV per atom
Total magnetization ... 11.99 Bohr magnetons per cell
Density ... 7.4 g/cm³

=====

(3)
Material: Ba2NiP2O8
Method: DFT, PBE+U
State: relaxed

Unit cell a=5.394 b=8.935 c=16.250 alpha=90.00 beta=90.82 gamma=90.00
Element x y z (fractional)
1 O 0.032 0.366 0.627
2 O 0.644 0.224 0.832
3 O 0.847 0.970 0.589
4 O 0.856 0.724 0.668
5 O 0.985 0.195 0.100
6 O 0.148 0.030 0.255
7 O 0.209 0.412 0.486
8 O 0.646 0.430 0.389
9 O 0.709 0.088 0.986
10 O 0.968 0.634 0.373
11 O 0.540 0.113 0.334
12 O 0.015 0.805 0.900
13 O 0.852 0.970 0.745
14 O 0.532 0.134 0.127
15 O 0.144 0.276 0.332
16 O 0.648 0.470 0.755
17 O 0.515 0.695 0.400
18 O 0.854 0.930 0.111
19 O 0.347 0.530 0.089
20 O 0.356 0.776 0.168
21 O 0.146 0.070 0.889
22 O 0.791 0.588 0.514
23 O 0.040 0.387 0.834
24 O 0.485 0.305 0.600
25 O 0.653 0.470 0.911
26 O 0.291 0.912 0.014
27 O 0.468 0.866 0.873
28 O 0.354 0.570 0.611
29 O 0.460 0.887 0.666
30 O 0.352 0.530 0.245
31 O 0.153 0.030 0.411
32 O 0.960 0.613 0.166
33 P 0.232 0.914 0.922
34 P 0.732 0.586 0.422
35 P 0.748 0.888 0.667
36 P 0.752 0.388 0.833
37 P 0.768 0.086 0.078
38 P 0.268 0.414 0.578
39 P 0.252 0.112 0.333
40 P 0.248 0.612 0.167
41 Ba 0.243 0.654 0.770
42 Ba 0.198 0.797 0.519
43 Ba 0.257 0.154 0.730
44 Ba 0.698 0.703 0.019
45 Ba 0.802 0.203 0.481
46 Ba 0.302 0.297 0.981
47 Ba 0.757 0.346 0.230
48 Ba 0.743 0.846 0.270
49 Ni 0.725 0.512 0.633
50 Ni 0.775 0.012 0.867
51 Ni 0.225 0.988 0.133
52 Ni 0.275 0.488 0.367

Results
Energy relative to the elements ... -2.918 eV per atom
Total magnetization ... 8.00 Bohr magnetons per cell
Density ... 4.4 g/cm³

=====

(4)
Material: Ba3V2Ni6P4O24
Method: DFT, PBE+U
State: relaxed

Unit cell a=4.921 b=9.745 c=10.915 alpha=78.03 beta=76.98 gamma=90.05
Element x y z (fractional)
1 V 0.381 0.045 0.237
2 V 0.715 0.713 0.570
3 Ni 0.109 0.717 0.779
4 Ni 0.219 0.950 0.562
5 Ni 0.553 0.613 0.895
6 Ni 0.778 0.056 0.443
7 Ni 0.887 0.286 0.224
8 Ni 0.449 0.388 0.106
9 P 0.050 0.380 0.904
10 P 0.617 0.954 0.765
11 P 0.285 0.289 0.430
12 P 0.952 0.622 0.097
13 Ba 0.001 0.001 0.996
14 Ba 0.335 0.663 0.330
15 Ba 0.667 0.330 0.669
16 O 0.872 0.689 0.967
17 O 0.241 0.396 0.516
18 O 0.091 0.272 0.818
19 O 0.429 0.926 0.141
20 O 0.933 0.915 0.739
21 O 0.763 0.593 0.475
22 O 0.246 0.514 0.833
23 O 0.933 0.862 0.487
24 O 0.473 0.967 0.381
25 O 0.268 0.583 0.072
26 O 0.757 0.488 0.168
27 O 0.597 0.195 0.153
28 O 0.574 0.062 0.850
29 O 0.028 0.088 0.261
30 O 0.424 0.818 0.835
31 O 0.600 0.250 0.404
32 O 0.091 0.154 0.501
33 O 0.734 0.418 0.930
34 O 0.133 0.314 0.034
35 O 0.359 0.750 0.598
36 O 0.910 0.729 0.183
37 O 0.207 0.355 0.298
38 O 0.800 0.633 0.716
39 O 0.539 0.021 0.634

Results
Energy relative to the elements ... -2.444 eV per atom
Total magnetization ... 12.00 Bohr magnetons per cell
Density ... 4.6 g/cm³

=====

(5)
Material: BaSrPrNiO6
Method: DFT, PBE+U
State: relaxed

Unit cell a=5.919 b=5.919 c=5.919 alpha=60.00 beta=60.00 gamma=60.00
Element x y z (fractional)
1 O 0.776 0.224 0.224
2 O 0.224 0.776 0.224
3 O 0.224 0.224 0.776
4 O 0.776 0.776 0.224
5 O 0.224 0.776 0.776
6 O 0.776 0.224 0.776
7 Ba 0.750 0.750 0.750
8 Sr 0.250 0.250 0.250
9 Ni 0.000 0.000 0.000
10 Pr 0.500 0.500 0.500

Results
Energy relative to the elements ... -2.332 eV per atom
Total magnetization ... 1.00 Bohr magnetons per cell
Density ... 5.9 g/cm³

=====

(6)
Material: Ba2ReNiO6
Method: DFT, PBE+U
State: relaxed

Unit cell a=5.767 b=5.767 c=5.767 alpha=60.00 beta=60.00 gamma=60.00
Element x y z (fractional)
1 O 0.261 0.261 0.739
2 O 0.739 0.739 0.261
3 O 0.739 0.261 0.739
4 O 0.261 0.739 0.261
5 O 0.261 0.739 0.739
6 O 0.739 0.261 0.261
7 Re 0.500 0.500 0.500
8 Ni 0.000 0.000 0.000
9 Ba 0.250 0.250 0.250
10 Ba 0.750 0.750 0.750

Results
Energy relative to the elements ... -2.442 eV per atom
Total magnetization ... 3.02 Bohr magnetons per cell
Density ... 7.5 g/cm³

=====

(7)
Material: Ba2NiRuO6
Method: DFT, PBE+U
State: relaxed

Unit cell a=5.783 b=5.783 c=19.298 alpha=90.00 beta=90.00 gamma=120.00
Element x y z (fractional)
1 O 0.167 0.833 0.628
2 O 0.833 0.666 0.372
3 O 0.500 0.000 0.000
4 O 0.500 0.500 0.500
5 O 0.849 0.699 0.750
6 O 0.334 0.167 0.128
7 O 0.833 0.167 0.372
8 O 0.666 0.833 0.628
9 O 0.301 0.151 0.750
10 O 0.833 0.167 0.128
11 O 0.167 0.334 0.628
12 O 0.500 0.000 0.500
13 O 0.699 0.849 0.250
14 O 0.500 0.500 0.000
15 O 0.666 0.833 0.872
16 O 0.167 0.833 0.872
17 O 0.849 0.151 0.750
18 O 0.151 0.849 0.250
19 O 0.000 0.500 0.000
20 O 0.000 0.500 0.500
21 O 0.833 0.666 0.128
22 O 0.151 0.301 0.250
23 O 0.167 0.334 0.872
24 O 0.334 0.167 0.372
25 Ru 0.000 0.000 0.323
26 Ru 0.000 0.000 0.177
27 Ru 0.000 0.000 0.677
28 Ru 0.000 0.000 0.823
29 Ba 0.000 0.000 0.500
30 Ba 0.333 0.667 0.118
31 Ba 0.333 0.667 0.750
32 Ba 0.667 0.333 0.618
33 Ba 0.333 0.667 0.382
34 Ba 0.667 0.333 0.882
35 Ba 0.000 0.000 0.000
36 Ba 0.667 0.333 0.250
37 Ni 0.667 0.333 0.056
38 Ni 0.333 0.667 0.556
39 Ni 0.667 0.333 0.444
40 Ni 0.333 0.667 0.944

Results
Energy relative to the elements ... -2.069 eV per atom
Total magnetization ... 15.98 Bohr magnetons per cell
Density ... 6.3 g/cm³

=====

(8)
Material: Ba3NiRu2O9
Method: DFT, PBE+U
State: relaxed

Unit cell a=5.834 b=5.834 c=14.354 alpha=90.00 beta=90.00 gamma=120.00
Element x y z (fractional)
1 Ni 0.000 0.000 0.500
2 Ni 0.000 0.000 0.000
3 O 0.516 0.031 0.250
4 O 0.969 0.484 0.250
5 O 0.516 0.484 0.250
6 O 0.341 0.170 0.083
7 O 0.170 0.830 0.583
8 O 0.170 0.341 0.583
9 O 0.830 0.659 0.417
10 O 0.484 0.969 0.750
11 O 0.830 0.170 0.417
12 O 0.659 0.830 0.917
13 O 0.341 0.170 0.417
14 O 0.031 0.516 0.750
15 O 0.830 0.659 0.083
16 O 0.170 0.341 0.917
17 O 0.830 0.170 0.083
18 O 0.484 0.516 0.750
19 O 0.170 0.830 0.917
20 O 0.659 0.830 0.583
21 Ru 0.667 0.333 0.154
22 Ru 0.333 0.667 0.654
23 Ru 0.333 0.667 0.846
24 Ru 0.667 0.333 0.346
25 Ba 0.000 0.000 0.750
26 Ba 0.667 0.333 0.589
27 Ba 0.000 0.000 0.250
28 Ba 0.667 0.333 0.911
29 Ba 0.333 0.667 0.411
30 Ba 0.333 0.667 0.089

Results
Energy relative to the elements ... -2.186 eV per atom
Density ... 6.4 g/cm³

=====

(9)
Material: Ba3NiSbRuO9
Method: DFT, PBE+U
State: relaxed

Unit cell a=5.886 b=5.886 c=14.543 alpha=90.00 beta=90.00 gamma=120.00
Element x y z (fractional)
1 Ba 0.667 0.333 0.914
2 Ba 0.000 0.000 0.249
3 Ba 0.333 0.667 0.409
4 Ba 0.000 0.000 0.751
5 Ba 0.333 0.667 0.086
6 Ba 0.667 0.333 0.591
7 Sb 0.667 0.333 0.156
8 Sb 0.333 0.667 0.844
9 O 0.483 0.517 0.747
10 O 0.171 0.342 0.581
11 O 0.171 0.829 0.913
12 O 0.483 0.965 0.747
13 O 0.171 0.829 0.581
14 O 0.658 0.829 0.581
15 O 0.517 0.483 0.253
16 O 0.659 0.829 0.913
17 O 0.341 0.171 0.087
18 O 0.829 0.658 0.419
19 O 0.829 0.659 0.087
20 O 0.829 0.171 0.087
21 O 0.517 0.035 0.253
22 O 0.171 0.341 0.913
23 O 0.965 0.483 0.253
24 O 0.829 0.171 0.419
25 O 0.035 0.517 0.747
26 O 0.342 0.171 0.419
27 Ni 0.000 0.000 0.000
28 Ni 0.000 0.000 0.500
29 Ru 0.333 0.667 0.649
30 Ru 0.667 0.333 0.351

Results
Energy relative to the elements ... -2.298 eV per atom
Total magnetization ... 10.00 Bohr magnetons per cell
Density ... 6.4 g/cm³

=====

(10)
Material: BaSc8Ni2O15
Method: DFT, PBE+U
State: relaxed

Unit cell a=8.118 b=8.118 c=9.808 alpha=90.00 beta=90.00 gamma=96.32
Element x y z (fractional)
1 O 0.288 0.030 0.257
2 O 0.398 0.398 0.236
3 O 0.970 0.712 0.757
4 O 0.211 0.466 0.741
5 O 0.321 0.817 0.751
6 O 0.789 0.534 0.241
7 O 0.183 0.679 0.251
8 O 0.997 0.507 0.999
9 O 0.391 0.643 0.994
10 O 0.534 0.789 0.241
11 O 0.817 0.321 0.751
12 O 0.643 0.391 0.994
13 O 0.899 0.899 0.264
14 O 0.250 0.250 0.498
15 O 0.856 0.112 0.004
16 O 0.466 0.211 0.741
17 O 0.493 0.003 0.499
18 O 0.750 0.750 0.998
19 O 0.602 0.602 0.736
20 O 0.112 0.856 0.004
21 O 0.030 0.288 0.257
22 O 0.101 0.101 0.764
23 O 0.609 0.357 0.494
24 O 0.888 0.144 0.504
25 O 0.003 0.493 0.499
26 O 0.712 0.970 0.757
27 O 0.144 0.888 0.504
28 O 0.679 0.183 0.251
29 O 0.357 0.609 0.494
30 O 0.507 0.997 0.999
31 Ni 0.669 0.155 0.612
32 Ni 0.331 0.845 0.112
33 Ni 0.845 0.331 0.112
34 Ni 0.155 0.669 0.612
35 Sc 0.349 0.825 0.386
36 Sc 0.203 0.462 0.354
37 Sc 0.937 0.937 0.863
38 Sc 0.538 0.797 0.854
39 Sc 0.651 0.175 0.886
40 Sc 0.032 0.296 0.648
41 Sc 0.436 0.436 0.637
42 Sc 0.564 0.564 0.137
43 Sc 0.704 0.968 0.148
44 Sc 0.825 0.349 0.386
45 Sc 0.797 0.538 0.854
46 Sc 0.462 0.203 0.354
47 Sc 0.175 0.651 0.886
48 Sc 0.063 0.063 0.363
49 Sc 0.968 0.704 0.148
50 Sc 0.296 0.032 0.648
51 Ba 0.765 0.765 0.512
52 Ba 0.235 0.235 0.012

Results
Energy relative to the elements ... -3.457 eV per atom
Total magnetization ... 8.00 Bohr magnetons per cell
Density ... 4.4 g/cm³

=====

(11)
Material: BaSm2NiO5
Method: DFT, PBE+U
State: relaxed

Unit cell a=3.839 b=5.921 c=6.825 alpha=115.71 beta=106.34 gamma=90.00
Element x y z (fractional)
1 Ba 0.000 0.000 0.000
2 O 0.353 0.112 0.706
3 O 0.353 0.594 0.706
4 O 0.647 0.406 0.294
5 O 0.647 0.888 0.294
6 O 0.000 0.500 0.000
7 Sm 0.797 0.297 0.595
8 Sm 0.203 0.703 0.405
9 Ni 0.500 0.500 0.000

Results
Energy relative to the elements ... -3.056 eV per atom
Total magnetization ... 2.00 Bohr magnetons per cell
Density ... 7.2 g/cm³

=====

(12)
Material: BaSmNi4O12
Method: DFT, PBE+U
State: relaxed

Unit cell a=5.494 b=5.494 c=7.708 alpha=90.00 beta=90.00 gamma=90.00
Element x y z (fractional)
1 O 0.233 0.233 0.730
2 O 0.233 0.767 0.270
3 O 0.767 0.767 0.270
4 O 0.000 0.500 0.000
5 O 0.767 0.767 0.730
6 O 0.500 0.000 0.500
7 O 0.233 0.233 0.270
8 O 0.233 0.767 0.730
9 O 0.767 0.233 0.730
10 O 0.767 0.233 0.270
11 O 0.000 0.500 0.500
12 O 0.500 0.000 0.000
13 Ni 0.000 0.500 0.251
14 Ni 0.500 0.000 0.749
15 Ni 0.500 0.000 0.251
16 Ni 0.000 0.500 0.749
17 Sm 0.000 0.000 0.500
18 Ba 0.500 0.500 0.000

Results
Energy relative to the elements ... -1.060 eV per atom
Total magnetization ... 11.78 Bohr magnetons per cell
Density ... 5.1 g/cm³